# 1
The following is a DFT calculation (PBE with a Hubbard U) of an optimized crystal structure of KMo3P2O14.

```
40
Lattice="8.954 0.000 0.000 0.000 6.508 0.000 -3.896 0.000 10.090" Properties=species:S:1:pos:R:3 pbc="T T T"
K -0.863 1.627 2.499
K 5.921 4.881 7.591
Mo 1.650 4.881 1.758
Mo 0.512 4.881 4.997
Mo -0.372 1.627 8.858
Mo 5.430 4.881 1.232
Mo 4.546 1.627 5.093
Mo 3.408 1.627 8.332
P 0.979 1.627 5.699
P 2.707 1.627 2.005
P 2.351 4.881 8.085
P 4.080 4.881 4.391
O 0.730 4.881 0.317
O -1.097 4.881 5.570
O 0.240 4.881 3.016
O -1.377 0.226 8.779
O -1.377 3.028 8.779
O 1.760 0.400 1.932
O 1.760 2.854 1.932
O 0.705 0.400 4.798
O 0.705 2.854 4.798
O -0.021 1.627 6.871
O 3.440 4.881 1.162
O 3.694 1.627 0.809
O 2.616 4.881 3.897
O 1.546 4.881 6.782
O 3.512 1.627 3.308
O 2.442 1.627 6.193
O 1.364 4.881 9.281
O 1.618 1.627 8.929
O 5.079 4.881 3.219
O 4.353 3.654 5.292
O 4.353 6.108 5.292
O 3.298 3.654 8.158
O 3.298 6.108 8.158
O 6.435 3.480 1.311
O 6.435 6.282 1.311
O 4.818 1.627 7.074
O 6.155 1.627 4.520
O 4.328 1.627 9.773
```

Properties
- E_form (meV per atom) = -2292
- total magnetization (μB per formula unit) = 1.00
- space-group type = No. 11

# 2
The following is a DFT calculation (PBE with a Hubbard U) of an optimized crystal structure of K2Mo2P2O11.

```
68
Lattice="9.448 0.000 0.000 0.000 9.104 0.000 0.000 0.000 11.121" Properties=species:S:1:pos:R:3 pbc="T T T"
K 1.913 0.096 0.950
K 1.913 9.009 6.510
K 2.811 4.457 6.510
K 2.811 4.648 0.950
K 6.637 4.457 10.171
K 6.637 4.648 4.611
K 7.535 0.096 4.611
K 7.535 9.009 10.171
Mo 0.736 2.472 3.847
Mo 0.736 6.632 9.408
Mo 3.988 2.080 9.408
Mo 3.988 7.025 3.847
Mo 5.460 2.080 7.273
Mo 5.460 7.025 1.713
Mo 8.712 2.472 1.713
Mo 8.712 6.632 7.273
P 0.665 2.967 9.703
P 0.665 6.137 4.142
P 4.059 1.585 4.142
P 4.059 7.520 9.703
P 5.389 1.585 1.418
P 5.389 7.520 6.979
P 8.783 2.967 6.979
P 8.783 6.137 1.418
O 0.000 2.392 8.341
O 0.000 6.713 2.780
O 0.456 2.747 5.946
O 0.456 6.358 0.386
O 0.743 0.750 4.034
O 0.743 8.354 9.594
O 1.023 4.434 9.517
O 1.023 4.671 3.957
O 1.209 2.749 1.952
O 1.209 6.355 7.513
O 1.884 2.076 9.971
O 1.884 7.028 4.410
O 2.840 2.476 4.410
O 2.840 6.629 9.971
O 3.514 1.803 7.513
O 3.514 7.301 1.952
O 3.701 0.119 3.957
O 3.701 8.986 9.517
O 3.981 3.802 9.594
O 3.981 5.302 4.034
O 4.268 1.806 0.386
O 4.268 7.299 5.946
O 4.724 2.161 2.780
O 4.724 6.944 8.341
O 5.180 1.806 5.174
O 5.180 7.299 10.735
O 5.467 3.802 7.087
O 5.467 5.302 1.527
O 5.747 0.119 1.604
O 5.747 8.986 7.164
O 5.933 1.803 9.169
O 5.933 7.301 3.608
O 6.608 2.476 1.150
O 6.608 6.629 6.710
O 7.564 2.076 6.710
O 7.564 7.028 1.150
O 8.238 2.749 3.608
O 8.238 6.355 9.169
O 8.425 4.434 7.164
O 8.425 4.671 1.604
O 8.705 0.750 1.527
O 8.705 8.354 7.087
O 8.992 2.747 10.735
O 8.992 6.358 5.174
```

Properties
- E_form (meV per atom) = -2379
- ΔE to the lowest computed polymorph (eV/atom) = 0.062
- total magnetization (μB per formula unit) = 0.00
- space-group type = No. 60

# 3
The following is a DFT calculation (PBE with a Hubbard U) of an optimized crystal structure of KMoP2O7.

```
44
Lattice="7.562 0.000 0.000 0.000 10.629 0.000 -2.496 0.000 8.170" Properties=species:S:1:pos:R:3 pbc="T T T"
K 1.205 1.827 0.497
K -0.043 3.488 4.581
K 5.110 7.141 3.588
K 3.862 8.802 7.673
Mo 1.130 6.388 2.115
Mo -0.118 9.555 6.200
Mo 5.185 1.074 1.970
Mo 3.937 4.241 6.055
P -1.089 6.392 6.734
P 0.159 9.551 2.649
P 1.599 6.776 5.679
P 2.847 9.168 1.594
P 2.220 1.461 6.575
P 3.468 3.853 2.490
P 4.907 1.078 5.521
P 6.155 4.237 1.436
O -1.761 5.322 5.860
O -0.513 10.621 1.775
O -1.325 7.778 6.098
O -0.077 8.166 2.014
O 0.994 6.345 0.009
O -0.254 9.599 4.094
O 1.132 6.441 4.269
O 2.380 9.503 0.184
O 0.504 6.065 6.668
O 1.752 9.879 2.583
O 0.872 0.849 6.201
O 2.120 4.465 2.116
O 2.869 7.671 1.956
O 1.621 8.273 6.041
O 3.446 2.356 2.128
O 2.198 2.958 6.213
O 2.946 6.164 6.054
O 4.194 9.780 1.969
O 3.315 0.750 5.586
O 4.563 4.564 1.501
O 2.687 1.126 7.985
O 3.935 4.188 3.901
O 5.321 1.030 4.075
O 4.073 4.284 8.160
O 5.143 2.464 6.156
O 6.391 2.851 2.071
O 5.580 0.008 6.395
O 6.828 5.307 2.310
```

Properties
- E_form (meV per atom) = -2600
- total magnetization (μB per formula unit) = 3.00
- space-group type = No. 14

# 4
The following is a DFT calculation (PBE with a Hubbard U) of an optimized crystal structure of K2Sc2MoP2O12.

```
76
Lattice="10.522 0.000 0.000 0.034 10.547 0.000 0.102 0.073 10.559" Properties=species:S:1:pos:R:3 pbc="T T T"
K 0.000 0.000 0.000
K 0.952 4.339 5.178
K 2.455 8.097 8.268
K 3.615 3.087 1.303
K 5.082 9.584 4.159
K 6.137 5.538 9.390
K 7.280 1.646 6.536
K 8.885 6.553 2.649
Sc 1.665 0.911 3.358
Sc 2.075 6.505 0.993
Sc 3.917 1.308 8.216
Sc 4.656 5.919 5.884
Sc 6.616 8.776 0.451
Sc 7.298 3.341 3.118
Sc 8.980 8.238 6.641
Sc 9.921 4.010 8.881
Mo 0.555 0.896 6.837
Mo 1.651 7.977 4.459
Mo 7.007 1.813 10.272
Mo 8.721 10.362 3.399
P 0.082 3.602 1.595
P 2.671 4.634 8.611
P 3.427 9.879 0.642
P 4.349 2.687 4.943
P 5.308 6.160 2.499
P 5.809 8.822 7.753
P 7.883 5.065 6.093
P 9.636 7.130 9.833
O 0.035 3.145 0.114
O 0.158 7.766 5.401
O 0.479 7.300 10.538
O 0.500 1.488 5.135
O 0.857 2.498 2.391
O 0.894 4.914 1.763
O 1.192 4.714 8.115
O 1.326 7.419 2.798
O 2.206 0.466 7.354
O 2.242 9.684 4.517
O 2.619 0.094 1.768
O 2.823 5.403 9.961
O 2.826 6.916 5.275
O 2.870 8.444 0.473
O 3.070 3.153 8.799
O 3.256 0.207 9.895
O 3.273 1.899 4.127
O 3.591 5.370 7.604
O 3.873 5.937 1.966
O 3.905 4.167 5.003
O 4.498 2.080 6.360
O 4.930 9.872 1.035
O 5.079 10.178 7.646
O 5.099 7.788 6.844
O 5.316 6.641 3.973
O 5.507 2.071 9.333
O 5.707 2.523 4.217
O 5.825 8.291 9.222
O 6.053 7.204 1.611
O 6.126 4.841 2.352
O 6.411 5.019 6.590
O 6.615 2.245 1.402
O 7.269 9.051 7.299
O 7.606 0.127 10.164
O 7.624 9.601 2.215
O 8.038 4.310 4.749
O 8.162 2.894 9.467
O 8.190 1.487 3.761
O 8.288 6.532 5.845
O 8.492 9.421 4.887
O 8.475 7.899 0.025
O 8.819 4.390 7.120
O 9.160 5.652 9.837
O 9.178 3.793 2.177
O 9.804 7.603 8.369
O 10.115 9.997 7.075
O 10.373 2.111 7.929
O 10.427 10.285 2.807
```

Properties
- E_form (meV per atom) = -2952
- total magnetization (μB per formula unit) = 0.00
- space-group type = No. 1

# 5
The following is a DFT calculation (PBE with a Hubbard U) of an optimized crystal structure of K2TeMo2P2O14.

```
84
Lattice="12.723 0.000 0.000 0.000 8.866 0.000 0.000 0.000 11.380" Properties=species:S:1:pos:R:3 pbc="T T T"
K 2.498 0.255 2.474
K 2.498 8.611 8.164
K 3.864 4.178 8.164
K 3.864 4.688 2.474
K 8.860 4.178 8.906
K 8.860 4.688 3.216
K 10.225 0.255 3.216
K 10.225 8.611 8.906
Te 0.000 3.193 8.535
Te 0.000 5.673 2.845
Te 6.362 1.240 2.845
Te 6.362 7.626 8.535
Mo 1.528 2.109 5.451
Mo 1.528 6.758 11.140
Mo 4.834 2.325 11.140
Mo 4.834 6.542 5.451
Mo 7.890 2.325 5.929
Mo 7.890 6.542 0.239
Mo 11.195 2.109 0.239
Mo 11.195 6.758 5.929
P 1.657 3.164 0.067
P 1.657 5.702 5.757
P 4.705 1.269 5.757
P 4.705 7.597 0.067
P 8.019 1.269 11.312
P 8.019 7.597 5.623
P 11.066 3.164 5.623
P 11.066 5.702 11.312
O 0.431 2.416 0.665
O 0.431 6.450 6.355
O 0.910 1.932 7.457
O 0.910 6.934 1.768
O 1.532 0.406 5.141
O 1.532 8.460 10.831
O 1.636 4.247 6.260
O 1.636 4.619 0.570
O 1.657 3.060 9.896
O 1.657 5.806 4.206
O 2.057 2.752 3.915
O 2.057 6.114 9.604
O 2.933 2.436 0.604
O 2.933 6.430 6.293
O 3.429 1.997 6.293
O 3.429 6.869 0.604
O 4.305 1.681 9.604
O 4.305 7.185 3.915
O 4.705 1.373 4.206
O 4.705 7.493 9.896
O 4.726 0.186 0.570
O 4.726 8.680 6.260
O 4.830 4.027 10.831
O 4.830 4.839 5.141
O 5.452 2.501 1.768
O 5.452 6.365 7.457
O 5.931 2.017 6.355
O 5.931 6.849 0.665
O 6.793 2.017 10.714
O 6.793 6.849 5.025
O 7.272 2.501 3.922
O 7.272 6.365 9.612
O 7.893 4.027 6.239
O 7.893 4.839 0.549
O 7.997 0.186 5.120
O 7.997 8.680 10.809
O 8.019 1.373 1.484
O 8.019 7.493 7.173
O 8.419 1.681 7.465
O 8.419 7.185 1.775
O 9.294 1.997 10.776
O 9.294 6.869 5.086
O 9.791 2.436 5.086
O 9.791 6.430 10.776
O 10.666 2.752 1.775
O 10.666 6.114 7.465
O 11.066 3.060 7.173
O 11.066 5.806 1.484
O 11.088 4.247 10.809
O 11.088 4.619 5.120
O 11.192 0.406 0.549
O 11.192 8.460 6.239
O 11.813 1.932 9.612
O 11.813 6.934 3.922
O 12.292 2.416 5.025
O 12.292 6.450 10.714
```

Properties
- E_form (meV per atom) = -2264
- space-group type = No. 60

# 6
The following is a DFT calculation (PBE with a Hubbard U) of an optimized crystal structure of KMoP3WO12.

```
72
Lattice="9.382 0.000 0.000 0.000 12.661 0.000 0.000 0.000 9.031" Properties=species:S:1:pos:R:3 pbc="T T T"
K 0.817 3.146 1.590
K 3.874 9.477 7.441
K 5.507 3.184 7.441
K 8.565 9.515 1.590
Mo 2.073 5.128 6.797
Mo 2.618 11.459 2.234
Mo 6.764 1.202 2.234
Mo 7.309 7.533 6.797
P 0.000 0.000 0.265
P 0.000 6.331 0.299
P 1.070 11.013 5.370
P 1.101 8.020 5.379
P 3.590 1.689 3.652
P 3.621 4.682 3.661
P 4.691 0.000 8.731
P 4.691 6.331 8.766
P 5.761 7.979 3.661
P 5.792 10.972 3.652
P 8.281 4.641 5.379
P 8.312 1.648 5.370
W 2.088 1.286 6.802
W 2.603 7.617 2.229
W 6.779 5.044 2.229
W 7.294 11.375 6.802
O 0.395 4.769 5.533
O 0.429 1.511 5.642
O 0.811 11.665 1.100
O 0.851 5.340 8.538
O 0.885 7.198 1.248
O 0.941 0.870 8.416
O 1.327 11.140 3.900
O 1.431 7.858 3.888
O 1.530 9.538 5.844
O 1.921 11.916 6.295
O 1.999 7.218 6.312
O 2.172 3.047 7.197
O 2.519 9.377 1.834
O 2.692 0.888 2.718
O 2.770 5.586 2.736
O 3.161 3.208 3.187
O 3.259 1.527 5.143
O 3.364 4.809 5.131
O 3.750 7.201 0.614
O 3.805 0.867 7.783
O 3.840 11.671 0.493
O 3.880 5.335 7.931
O 4.262 7.842 3.389
O 4.296 11.099 3.498
O 5.086 1.562 3.498
O 5.119 4.820 3.389
O 5.502 7.326 7.931
O 5.542 0.991 0.493
O 5.576 11.794 7.783
O 5.632 5.460 0.614
O 6.018 7.852 5.131
O 6.122 11.134 5.143
O 6.221 9.453 3.187
O 6.611 7.075 2.736
O 6.690 11.773 2.718
O 6.862 3.284 1.834
O 7.210 9.614 7.197
O 7.382 5.443 6.312
O 7.461 0.745 6.295
O 7.852 3.123 5.844
O 7.950 4.803 3.888
O 8.055 1.521 3.900
O 8.441 11.791 8.416
O 8.496 5.463 1.248
O 8.531 7.321 8.538
O 8.571 0.996 1.100
O 8.953 11.150 5.642
O 8.987 7.892 5.533
```

Properties
- E_form (meV per atom) = -2544
- total magnetization (μB per formula unit) = 4.00
- space-group type = No. 18

| no. | total energy after the MP2020 corrections (eV per cell) |
| --- | --- |
| 1 | -319.189 |
| 2 | -518.432 |
| 3 | -344.076 |
| 4 | -608.092 |
| 5 | -618.779 |
| 6 | -585.287 |